Entry 1:
{
  "formula": "Mg5Mn3Zn4Si4O24",
  "functional": "GGA+U",
  "state": "optimized geometry",
  "lattice": [[4.183, -3.025, 0.000], [4.183, 3.025, 0.000], [-0.090, 0.000, 18.238]],
  "species": ["Mg", "Mg", "Mg", "Mg", "Mg", "Mn", "Mn", "Mn", "Zn", "Zn", "Zn", "Zn", "Si", "Si", "Si", "Si", "O", "O", "O", "O", "O", "O", "O", "O", "O", "O", "O", "O", "O", "O", "O", "O", "O", "O", "O", "O", "O", "O", "O", "O"],
  "frac_coords": [[0.000, 0.000, 0.000], [0.498, 0.998, 0.397], [0.505, 0.992, 0.896], [0.992, 0.505, 0.896], [0.998, 0.498, 0.397], [0.481, 0.481, 0.481], [0.515, 0.515, 0.314], [0.981, 0.981, 0.808], [0.152, 0.645, 0.149], [0.347, 0.846, 0.646], [0.645, 0.152, 0.149], [0.846, 0.347, 0.646], [0.140, 0.140, 0.246], [0.355, 0.355, 0.744], [0.639, 0.639, 0.051], [0.854, 0.854, 0.550], [0.194, 0.740, 0.553], [0.194, 0.810, 0.890], [0.228, 0.228, 0.965], [0.235, 0.235, 0.672], [0.241, 0.241, 0.817], [0.241, 0.696, 0.739], [0.256, 0.256, 0.173], [0.256, 0.799, 0.243], [0.258, 0.258, 0.318], [0.269, 0.269, 0.471], [0.293, 0.702, 0.397], [0.305, 0.746, 0.058], [0.696, 0.241, 0.739], [0.702, 0.293, 0.397], [0.726, 0.726, 0.324], [0.736, 0.736, 0.622], [0.737, 0.737, 0.476], [0.740, 0.194, 0.553], [0.746, 0.305, 0.058], [0.748, 0.748, 0.976], [0.769, 0.769, 0.120], [0.769, 0.769, 0.820], [0.799, 0.256, 0.243], [0.810, 0.194, 0.890]],
  "space_group": "Cm",
  "energy_mp2020_ev_per_atom": -6.96,
  "formation_energy_ev_per_atom": -2.439,
  "dft_energy_ev_per_cell": -257.04
}

=====

Entry 2:
{
  "formula": "CaMn2V4CuO12",
  "functional": "GGA+U",
  "state": "optimized geometry",
  "lattice": [[-3.695, 3.736, 3.763], [3.695, -3.736, 3.763], [3.695, 3.736, -3.763]],
  "species": ["Ca", "Mn", "Mn", "V", "V", "V", "V", "Cu", "O", "O", "O", "O", "O", "O", "O", "O", "O", "O", "O", "O"],
  "frac_coords": [[0.000, 0.000, 0.000], [0.500, 0.000, 0.500], [0.500, 0.500, 0.000], [0.000, 0.000, 0.500], [0.000, 0.500, 0.000], [0.500, 0.000, 0.000], [0.500, 0.500, 0.500], [0.000, 0.500, 0.500], [0.111, 0.293, 0.818], [0.189, 0.496, 0.308], [0.189, 0.881, 0.692], [0.304, 0.190, 0.494], [0.304, 0.810, 0.114], [0.475, 0.293, 0.182], [0.525, 0.707, 0.818], [0.696, 0.190, 0.886], [0.696, 0.810, 0.506], [0.811, 0.119, 0.308], [0.811, 0.504, 0.692], [0.889, 0.707, 0.182]],
  "space_group": "Immm",
  "energy_mp2020_ev_per_atom": -8.34,
  "formation_energy_ev_per_atom": -2.335,
  "dft_energy_ev_per_cell": -148.46
}

=====

Entry 3:
{
  "formula": "MgMn2O4",
  "functional": "GGA+U",
  "state": "optimized geometry",
  "lattice": [[23.238, -2.933, 0.000], [23.238, 2.933, 0.000], [-0.707, 0.000, 5.828]],
  "species": ["Mg", "Mg", "Mg", "Mg", "Mg", "Mg", "Mg", "Mg", "Mg", "Mg", "Mn", "Mn", "Mn", "Mn", "Mn", "Mn", "Mn", "Mn", "Mn", "Mn", "Mn", "Mn", "Mn", "Mn", "Mn", "Mn", "Mn", "Mn", "Mn", "Mn", "O", "O", "O", "O", "O", "O", "O", "O", "O", "O", "O", "O", "O", "O", "O", "O", "O", "O", "O", "O", "O", "O", "O", "O", "O", "O", "O", "O", "O", "O", "O", "O", "O", "O", "O", "O", "O", "O", "O", "O"],
  "frac_coords": [[0.000, 0.000, 0.000], [0.120, 0.120, 0.881], [0.195, 0.195, 0.205], [0.245, 0.245, 0.757], [0.398, 0.398, 0.407], [0.448, 0.448, 0.958], [0.523, 0.523, 0.281], [0.597, 0.597, 0.597], [0.796, 0.796, 0.806], [0.847, 0.847, 0.358], [0.021, 0.521, 0.281], [0.046, 0.046, 0.568], [0.119, 0.119, 0.389], [0.122, 0.622, 0.882], [0.224, 0.724, 0.479], [0.321, 0.321, 0.082], [0.321, 0.321, 0.582], [0.322, 0.820, 0.082], [0.417, 0.920, 0.683], [0.521, 0.021, 0.281], [0.523, 0.523, 0.779], [0.622, 0.122, 0.882], [0.643, 0.643, 0.163], [0.720, 0.720, 0.482], [0.720, 0.720, 0.982], [0.724, 0.224, 0.479], [0.820, 0.322, 0.082], [0.920, 0.417, 0.683], [0.923, 0.923, 0.181], [0.923, 0.923, 0.682], [0.070, 0.070, 0.298], [0.073, 0.073, 0.866], [0.096, 0.545, 0.331], [0.097, 0.547, 0.832], [0.147, 0.697, 0.931], [0.149, 0.699, 0.431], [0.167, 0.167, 0.912], [0.169, 0.169, 0.454], [0.271, 0.271, 0.057], [0.271, 0.271, 0.507], [0.294, 0.762, 0.025], [0.295, 0.746, 0.540], [0.345, 0.883, 0.140], [0.350, 0.892, 0.624], [0.371, 0.371, 0.106], [0.371, 0.371, 0.657], [0.474, 0.474, 0.707], [0.475, 0.475, 0.252], [0.494, 0.945, 0.732], [0.496, 0.946, 0.232], [0.545, 0.096, 0.331], [0.547, 0.097, 0.832], [0.569, 0.569, 0.302], [0.572, 0.572, 0.861], [0.670, 0.670, 0.909], [0.671, 0.671, 0.462], [0.697, 0.147, 0.931], [0.699, 0.149, 0.431], [0.746, 0.295, 0.540], [0.762, 0.294, 0.025], [0.770, 0.770, 0.056], [0.770, 0.770, 0.506], [0.873, 0.873, 0.108], [0.873, 0.873, 0.658], [0.883, 0.345, 0.140], [0.892, 0.350, 0.624], [0.945, 0.494, 0.732], [0.946, 0.496, 0.232], [0.972, 0.972, 0.705], [0.974, 0.974, 0.252]],
  "space_group": "Cm",
  "energy_mp2020_ev_per_atom": -7.98,
  "formation_energy_ev_per_atom": -2.306,
  "relative_energy_ev_per_fu": 0.25,
  "dft_energy_ev_per_cell": -497.74
}